An optimized crystal structure of Ge, computed with meta-GGA r2SCAN.

Unit cell a=4.013 b=4.013 c=4.013 alpha=60.00 beta=60.00 gamma=60.00
Fractional positions:
Ge  0.125  0.125  0.125
Ge  0.875  0.875  0.875

Values from the calculation:
relative energy among the computed polymorphs: 0 meV/atom

=====

An optimized crystal structure of Eu2SiS4, computed with meta-GGA r2SCAN.

Unit cell a=6.544 b=6.589 c=8.102 alpha=90.00 beta=108.12 gamma=90.00
Fractional positions:
Eu  0.728  0.250  0.930
Eu  0.272  0.750  0.070
S  0.009  0.000  0.239
S  0.392  0.250  0.567
S  0.583  0.750  0.868
Eu  0.782  0.250  0.450
S  0.417  0.250  0.132
S  0.991  0.500  0.761
Si  0.777  0.750  0.702
Si  0.223  0.250  0.298
S  0.608  0.750  0.433
Eu  0.218  0.750  0.550
S  0.009  0.500  0.239
S  0.991  0.000  0.761

=====

An optimized crystal structure of Er4Ge6Rh7, computed with meta-GGA r2SCAN.

Unit cell a=7.189 b=7.189 c=7.189 alpha=109.47 beta=109.47 gamma=109.47
Fractional positions:
Ge  0.321  0.321  0.000
Rh  0.750  0.250  0.500
Ge  0.679  0.679  0.000
Rh  0.000  0.000  0.000
Rh  0.500  0.250  0.750
Er  0.500  0.000  0.000
Ge  0.679  0.000  0.679
Er  0.500  0.500  0.500
Rh  0.750  0.500  0.250
Ge  0.000  0.679  0.679
Ge  0.321  0.000  0.321
Ge  0.000  0.321  0.321
Rh  0.250  0.500  0.750
Rh  0.250  0.750  0.500
Er  0.000  0.500  0.000
Er  0.000  0.000  0.500
Rh  0.500  0.750  0.250

=====

An optimized crystal structure of Pr2MgIn, computed with meta-GGA r2SCAN.

Unit cell a=5.519 b=5.519 c=5.519 alpha=60.00 beta=60.00 gamma=60.00
Fractional positions:
Pr  0.750  0.750  0.750
In  0.500  0.500  0.500
Mg  0.000  0.000  0.000
Pr  0.250  0.250  0.250

=====

ΔH_f (0 K) readings, ordered: 0.00 -1.77 -1.03 -0.40 eV per atom